No. 1
Material: Y5Pt3
Method: DFT, GGA-PBE
State: optimized geometry

Properties
SG ... No. 193
Raw total energy ... -58.4 eV/f.u.
Crystal system ... hexagonal
ΔH_f (0 K) ... -0.981 eV per atom
ρ ... 8.78 g cm⁻³

a b c (Å): 8.5117 8.5117 6.2064
angles (deg): 90.00 90.00 120.00
Closest atoms and distances in Å follow each position.
Fractional coordinates of all 16 atoms:
1 Y 0.6667 0.3333 0.0000  6 Pt 3.04, 2 Y 3.10
2 Y 0.3333 0.6667 0.0000  6 Pt 3.04, 2 Y 3.10
3 Y 0.3333 0.6667 0.5000  6 Pt 3.04, 2 Y 3.10
4 Y 0.6667 0.3333 0.5000  6 Pt 3.04, 2 Y 3.10
5 Y 0.7525 0.7525 0.7500  3 Pt 2.94-3.04
6 Y 0.2475 0.0000 0.7500  3 Pt 2.94-3.04
7 Y 0.0000 0.2475 0.7500  3 Pt 2.94-3.04
8 Y 0.2475 0.2475 0.2500  3 Pt 2.94-3.04
9 Y 0.7525 0.0000 0.2500  3 Pt 2.94-3.04
10 Y 0.0000 0.7525 0.2500  3 Pt 2.94-3.04
11 Pt 0.3949 0.3949 0.7500  7 Y 2.94-3.04
12 Pt 0.6051 0.0000 0.7500  7 Y 2.94-3.04
13 Pt 0.0000 0.6051 0.7500  7 Y 2.94-3.04
14 Pt 0.6051 0.6051 0.2500  7 Y 2.94-3.04
15 Pt 0.3949 0.0000 0.2500  7 Y 2.94-3.04
16 Pt 0.0000 0.3949 0.2500  7 Y 2.94-3.04

=====

No. 2
Material: CaMg6AlO8
Method: DFT, GGA-PBE
State: optimized geometry

Properties
Energy with MP2020 corrections ... -6.275 eV/atom
ΔE to the lowest computed polymorph ... 14 meV/atom
SG ... No. 123
Raw total energy ... -94.9 eV/f.u.
Crystal system ... tetragonal
ΔH_f (0 K) ... -2.841 eV per atom
ρ ... 3.36 g cm⁻³

a b c (Å): 8.6967 4.4030 4.4030
angles (deg): 90.00 90.00 90.00
Closest atoms and distances in Å follow each position.
Fractional coordinates of all 16 atoms:
1 Ca 0.0000 0.5000 0.5000  6 O 2.20-2.30
2 Mg 0.5000 0.0000 0.0000  6 O 2.19-2.20
3 Mg 0.5000 0.5000 0.5000  6 O 2.05-2.20
4 Mg 0.2581 0.0000 0.5000  6 O 2.10-2.24
5 Mg 0.7419 0.0000 0.5000  6 O 2.10-2.24
6 Mg 0.2581 0.5000 0.0000  6 O 2.10-2.24
7 Mg 0.7419 0.5000 0.0000  6 O 2.10-2.24
8 Al 0.0000 0.0000 0.0000  6 O 2.16-2.20
9 O 0.2483 0.0000 0.0000  1 Al 2.16, 5 Mg 2.19-2.20
10 O 0.7517 0.0000 0.0000  1 Al 2.16, 5 Mg 2.19-2.20
11 O 0.2646 0.5000 0.5000  5 Mg 2.05-2.20
12 O 0.7354 0.5000 0.5000  5 Mg 2.05-2.20
13 O 0.0000 0.0000 0.5000  2 Ca 2.20, 2 Al 2.20, 2 Mg 2.24
14 O 0.5000 0.0000 0.5000  6 Mg 2.10-2.20
15 O 0.0000 0.5000 0.0000  2 Ca 2.20, 2 Al 2.20, 2 Mg 2.24
16 O 0.5000 0.5000 0.0000  6 Mg 2.10-2.20

=====

No. 3
Material: Er2ZnIr
Method: DFT, GGA-PBE
State: optimized geometry

Properties
SG ... No. 225
Raw total energy ... -21.9 eV/f.u.
Crystal system ... cubic
ΔH_f (0 K) ... -0.674 eV per atom
ρ ... 11.92 g cm⁻³

a b c (Å): 4.8864 4.8864 4.8864
angles (deg): 60.00 60.00 60.00
Closest atoms and distances in Å follow each position.
Fractional coordinates of all 4 atoms:
1 Er 0.2500 0.2500 0.2500  4 Ir 2.99, 4 Zn 2.99
2 Er 0.7500 0.7500 0.7500  4 Ir 2.99, 4 Zn 2.99
3 Zn 0.0000 0.0000 0.0000  8 Er 2.99
4 Ir 0.5000 0.5000 0.5000  8 Er 2.99

=====

No. 4
Material: Al2SiO6
Method: DFT, GGA-PBE
State: optimized geometry

Properties
Energy with MP2020 corrections ... -7.544 eV/atom
SG ... No. 62
Raw total energy ... -63.8 eV/f.u.
Crystal system ... orthorhombic
ΔH_f (0 K) ... -2.810 eV per atom
ρ ... 3.24 g cm⁻³

a b c (Å): 4.6390 8.5834 9.1711
angles (deg): 90.00 90.00 90.00
Closest atoms and distances in Å follow each position.
Fractional coordinates of all 36 atoms:
1 Al 0.4000 0.9176 0.6264  6 O 1.82-1.98
2 Al 0.1000 0.5824 0.1264  6 O 1.82-1.98
3 Al 0.6000 0.4176 0.3736  6 O 1.82-1.98
4 Al 0.9000 0.0824 0.8736  6 O 1.82-1.98
5 Al 0.6000 0.0824 0.3736  6 O 1.82-1.98
6 Al 0.9000 0.4176 0.8736  6 O 1.82-1.98
7 Al 0.4000 0.5824 0.6264  6 O 1.82-1.98
8 Al 0.1000 0.9176 0.1264  6 O 1.82-1.98
9 Si 0.8979 0.7500 0.4377  4 O 1.65-1.68
10 Si 0.6021 0.7500 0.9377  4 O 1.65-1.68
11 Si 0.1021 0.2500 0.5623  4 O 1.65-1.68
12 Si 0.3979 0.2500 0.0623  4 O 1.65-1.68
13 O 0.2022 0.7500 0.5320  1 Si 1.66
14 O 0.2978 0.7500 0.0320  1 Si 1.66
15 O 0.7978 0.2500 0.4680  1 Si 1.66
16 O 0.7022 0.2500 0.9680  1 Si 1.66
17 O 0.5375 0.7500 0.7578  1 Si 1.68
18 O 0.9625 0.7500 0.2578  1 Si 1.68
19 O 0.4625 0.2500 0.2422  1 Si 1.68
20 O 0.0375 0.2500 0.7422  1 Si 1.68
21 O 0.7082 0.9045 0.4870  1 Si 1.65
22 O 0.7918 0.5955 0.9870  1 Si 1.65
23 O 0.2918 0.4045 0.5130  1 Si 1.65
24 O 0.2082 0.0955 0.0130  1 Si 1.65
25 O 0.2918 0.0955 0.5130  1 Si 1.65
26 O 0.2082 0.4045 0.0130  1 Si 1.65
27 O 0.7082 0.5955 0.4870  1 Si 1.65
28 O 0.7918 0.9045 0.9870  1 Si 1.65
29 O 0.1092 0.9538 0.7560  2 Al 1.82
30 O 0.3908 0.5462 0.2560  2 Al 1.82
31 O 0.8908 0.4538 0.2440  2 Al 1.82
32 O 0.6092 0.0462 0.7440  2 Al 1.82
33 O 0.8908 0.0462 0.2440  2 Al 1.82
34 O 0.6092 0.4538 0.7440  2 Al 1.82
35 O 0.1092 0.5462 0.7560  2 Al 1.82
36 O 0.3908 0.9538 0.2560  2 Al 1.82

=====

No. 5
Material: InH12S3N3O12
Method: DFT, GGA-PBE
State: optimized geometry

Properties
Energy with MP2020 corrections ... -5.815 eV/atom
SG ... No. 14
Raw total energy ... -172.0 eV/f.u.
Crystal system ... monoclinic
ΔH_f (0 K) ... -1.291 eV per atom
ρ ... 2.35 g cm⁻³

a b c (Å): 15.9794 9.2399 9.2616
angles (deg): 71.23 90.00 90.00
Closest atoms and distances in Å follow each position.
Fractional coordinates of all 124 atoms:
1 In 0.2488 0.7150 0.7753  6 O 2.15-2.19
2 In 0.7512 0.2850 0.2247  6 O 2.15-2.19
3 In 0.7488 0.2850 0.7247  6 O 2.15-2.19
4 In 0.2512 0.7150 0.2753  6 O 2.15-2.19
5 H 0.9977 0.9041 0.1968  1 N 1.05
6 H 0.0023 0.0959 0.8032  1 N 1.05
7 H 0.4977 0.0959 0.3032  1 N 1.05
8 H 0.5023 0.9041 0.6968  1 N 1.05
9 H 0.4607 0.4349 0.8669  1 N 1.04
10 H 0.5393 0.5651 0.1331  1 N 1.04
11 H 0.9607 0.5651 0.6331  1 N 1.04
12 H 0.0393 0.4349 0.3669  1 N 1.04
13 H 0.9927 0.9154 0.3771  1 N 1.04
14 H 0.0073 0.0846 0.6229  1 N 1.04
15 H 0.4927 0.0846 0.1229  1 N 1.04
16 H 0.5073 0.9154 0.8771  1 N 1.04
17 H 0.9299 0.7096 0.6917  1 N 1.03
18 H 0.0701 0.2904 0.3083  1 N 1.03
19 H 0.4299 0.2904 0.8083  1 N 1.03
20 H 0.5701 0.7096 0.1917  1 N 1.03
21 H 0.2950 0.2357 0.6028  1 N 1.04
22 H 0.7050 0.7643 0.3972  1 N 1.04
23 H 0.7950 0.7643 0.8972  1 N 1.04
24 H 0.2050 0.2357 0.1028  1 N 1.04
25 H 0.0724 0.2022 0.6744  1 N 1.03
26 H 0.9276 0.7978 0.3256  1 N 1.03
27 H 0.5724 0.7978 0.8256  1 N 1.03
28 H 0.4276 0.2022 0.1744  1 N 1.03
29 H 0.3908 0.2433 0.5184  1 N 1.03
30 H 0.6092 0.7567 0.4816  1 N 1.03
31 H 0.8908 0.7567 0.9816  1 N 1.03
32 H 0.1092 0.2433 0.0184  1 N 1.03
33 H 0.9155 0.9903 0.2505  1 N 1.03
34 H 0.0845 0.0097 0.7495  1 N 1.03
35 H 0.4155 0.0097 0.2495  1 N 1.03
36 H 0.5845 0.9903 0.7505  1 N 1.03
37 H 0.8320 0.9158 0.9428  1 N 1.03
38 H 0.1680 0.0842 0.0572  1 N 1.03
39 H 0.3320 0.0842 0.5572  1 N 1.03
40 H 0.6680 0.9158 0.4428  1 N 1.03
41 H 0.6966 0.7556 0.5835  1 N 1.04
42 H 0.3034 0.2444 0.4165  1 N 1.04
43 H 0.1966 0.2444 0.9165  1 N 1.04
44 H 0.8034 0.7556 0.0835  1 N 1.04
45 H 0.4790 0.4467 0.6837  1 N 1.03
46 H 0.5210 0.5533 0.3163  1 N 1.03
47 H 0.9790 0.5533 0.8163  1 N 1.03
48 H 0.0210 0.4467 0.1837  1 N 1.03
49 H 0.0319 0.6815 0.6726  1 N 1.03
50 H 0.9681 0.3185 0.3274  1 N 1.03
51 H 0.5319 0.3185 0.8274  1 N 1.03
52 H 0.4681 0.6815 0.1726  1 N 1.03
53 S 0.4080 0.7545 0.5266  4 O 1.47-1.52
54 S 0.5920 0.2455 0.4734  4 O 1.47-1.52
55 S 0.9080 0.2455 0.9734  4 O 1.47-1.52
56 S 0.0920 0.7545 0.0266  4 O 1.47-1.52
57 S 0.3480 0.9461 0.9588  4 O 1.47-1.52
58 S 0.6520 0.0539 0.0412  4 O 1.47-1.52
59 S 0.8480 0.0539 0.5412  4 O 1.47-1.52
60 S 0.1520 0.9461 0.4588  4 O 1.47-1.52
61 S 0.1725 0.4584 0.6061  4 O 1.47-1.51
62 S 0.8275 0.5416 0.3939  4 O 1.47-1.51
63 S 0.6725 0.5416 0.8939  4 O 1.47-1.51
64 S 0.3275 0.4584 0.1061  4 O 1.47-1.51
65 N 0.3303 0.2021 0.5247  4 H 1.03-1.04
66 N 0.6697 0.7979 0.4753  4 H 1.03-1.04
67 N 0.8303 0.7979 0.9753  4 H 1.03-1.04
68 N 0.1697 0.2021 0.0247  4 H 1.03-1.04
69 N 0.9753 0.6267 0.7056  4 H 1.03-1.04
70 N 0.0247 0.3733 0.2944  4 H 1.03-1.04
71 N 0.4753 0.3733 0.7944  4 H 1.03-1.04
72 N 0.5247 0.6267 0.2056  4 H 1.03-1.04
73 N 0.9579 0.9022 0.2868  4 H 1.03-1.05
74 N 0.0421 0.0979 0.7132  4 H 1.03-1.05
75 N 0.4579 0.0979 0.2132  4 H 1.03-1.05
76 N 0.5421 0.9022 0.7868  4 H 1.03-1.05
77 O 0.3549 0.6547 0.6561  1 S 1.52
78 O 0.6451 0.3453 0.3439  1 S 1.52
79 O 0.8549 0.3453 0.8439  1 S 1.52
80 O 0.1451 0.6547 0.1561  1 S 1.52
81 O 0.1374 0.7799 0.8764  1 S 1.52
82 O 0.8626 0.2201 0.1236  1 S 1.52
83 O 0.6374 0.2201 0.6236  1 S 1.52
84 O 0.3626 0.7799 0.3764  1 S 1.52
85 O 0.4868 0.6719 0.5243  1 S 1.48
86 O 0.5132 0.3281 0.4757  1 S 1.48
87 O 0.9868 0.3281 0.9757  1 S 1.48
88 O 0.0132 0.6719 0.0243  1 S 1.48
89 O 0.2102 0.3150 0.7063  1 S 1.48
90 O 0.7898 0.6850 0.2937  1 S 1.48
91 O 0.7102 0.6850 0.7937  1 S 1.48
92 O 0.2898 0.3150 0.2063  1 S 1.48
93 O 0.1662 0.5746 0.6887  1 S 1.51
94 O 0.8338 0.4254 0.3113  1 S 1.51
95 O 0.6662 0.4254 0.8113  1 S 1.51
96 O 0.3338 0.5746 0.1887  1 S 1.51
97 O 0.0718 0.8836 0.5317  1 S 1.48
98 O 0.9282 0.1164 0.4683  1 S 1.48
99 O 0.5718 0.1164 0.9683  1 S 1.48
100 O 0.4282 0.8836 0.0317  1 S 1.48
101 O 0.3279 0.8710 0.8407  1 S 1.51
102 O 0.6721 0.1290 0.1593  1 S 1.51
103 O 0.8279 0.1290 0.6593  1 S 1.51
104 O 0.1721 0.8710 0.3407  1 S 1.51
105 O 0.0872 0.4330 0.5592  1 S 1.47
106 O 0.9128 0.5670 0.4408  1 S 1.47
107 O 0.5872 0.5670 0.9408  1 S 1.47
108 O 0.4128 0.4330 0.0592  1 S 1.47
109 O 0.4224 0.9051 0.5440  1 S 1.47
110 O 0.5776 0.0949 0.4560  1 S 1.47
111 O 0.9224 0.0949 0.9560  1 S 1.47
112 O 0.0776 0.9051 0.0440  1 S 1.47
113 O 0.2213 0.9122 0.5768  1 S 1.52
114 O 0.7787 0.0878 0.4232  1 S 1.52
115 O 0.7213 0.0878 0.9232  1 S 1.52
116 O 0.2787 0.9122 0.0768  1 S 1.52
117 O 0.2706 0.5160 0.9697  1 S 1.51
118 O 0.7294 0.4840 0.0303  1 S 1.51
119 O 0.7706 0.4840 0.5303  1 S 1.51
120 O 0.2294 0.5160 0.4697  1 S 1.51
121 O 0.8516 0.8878 0.6154  1 S 1.47
122 O 0.1484 0.1122 0.3846  1 S 1.47
123 O 0.3516 0.1122 0.8846  1 S 1.47
124 O 0.6484 0.8878 0.1154  1 S 1.47